A plane-wave DFT calculation with PBE-GGA was carried out for a relaxed Ca2Bi3P3O12 crystal.

Output
- Formation energy: -2472.7 meV per atom
- Symmetry: P6_3/m (176)
- Electronic total energy: -6.6253 eV per atom
- Magnetic moment: 0.051 μB/atom

abc: 9.6748 9.6748 7.0957
angles: 90.00 90.00 120.00
Fractional positions:
Ca 0.3333 0.6667 0.0044
Ca 0.3333 0.6667 0.4956
Ca 0.6667 0.3333 0.5044
Ca 0.6667 0.3333 0.9956
Bi 0.0109 0.8024 0.7500
Bi 0.1976 0.2084 0.7500
Bi 0.2084 0.0109 0.2500
Bi 0.7916 0.9891 0.7500
Bi 0.8024 0.7916 0.2500
Bi 0.9891 0.1976 0.2500
P 0.0321 0.4122 0.7500
P 0.3801 0.9679 0.7500
P 0.4122 0.3801 0.2500
P 0.5878 0.6199 0.7500
P 0.6199 0.0321 0.2500
P 0.9679 0.5878 0.2500
O 0.0862 0.3491 0.5748
O 0.0862 0.3491 0.9252
O 0.1335 0.5964 0.7500
O 0.1478 0.6499 0.2500
O 0.2629 0.9138 0.5748
O 0.2629 0.9138 0.9252
O 0.3491 0.2629 0.0748
O 0.3491 0.2629 0.4252
O 0.3501 0.4979 0.2500
O 0.4036 0.5372 0.7500
O 0.4628 0.8665 0.7500
O 0.4979 0.1478 0.7500
O 0.5021 0.8522 0.2500
O 0.5372 0.1335 0.2500
O 0.5964 0.4628 0.2500
O 0.6499 0.5021 0.7500
O 0.6509 0.7371 0.5748
O 0.6509 0.7371 0.9252
O 0.7371 0.0862 0.0748
O 0.7371 0.0862 0.4252
O 0.8522 0.3501 0.7500
O 0.8665 0.4036 0.2500
O 0.9138 0.6509 0.0748
O 0.9138 0.6509 0.4252